## UMo6S8 (PBE)

Data for an optimized crystal structure of UMo6S8.

Calculated values
* energy of formation: -1.07 eV/atom
* E: -364.5 eV for the cell shown

a b c (Å): 9.0626 9.0626 11.4415
angles (deg): 90.00 90.00 120.00
Space group R-3 (No. 148, hexagonal axes)
Symmetry-distinct sites (fractional):
U: 0.0000 0.0000 0.0000 (multiplicity 3)
Mo: 0.0194 0.8396 0.4016 (multiplicity 18)
S: 0.0000 0.0000 0.2396 (multiplicity 6)
S: 0.0068 0.3839 0.7506 (multiplicity 18)



## Mo2WSe2S4 (PBE)

Data for an optimized crystal structure of Mo2WSe2S4.

Calculated values
* energy of formation: -1.00 eV/atom
* E: -65.2 eV for the cell shown

a b c (Å): 3.2329 3.2329 30.2029
angles (deg): 90.00 90.00 120.00
Space group P3m1 (No. 156)
Symmetry-distinct sites (fractional):
Mo: 0.0000 0.0000 0.0000 (multiplicity 1)
Mo: 0.3333 0.6667 0.2354 (multiplicity 1)
W: 0.0000 0.0000 0.4670 (multiplicity 1)
Se: 0.3333 0.6667 0.0565 (multiplicity 1)
Se: 0.3333 0.6667 0.9434 (multiplicity 1)
S: 0.0000 0.0000 0.1840 (multiplicity 1)
S: 0.0000 0.0000 0.2868 (multiplicity 1)
S: 0.3333 0.6667 0.4154 (multiplicity 1)
S: 0.3333 0.6667 0.5186 (multiplicity 1)



## CeMg14Bi (PBE)

Data for an optimized crystal structure of CeMg14Bi.

Calculated values
* energy of formation: -0.02 eV/atom
* E: -65.2 eV for the cell shown

a b c (Å): 10.3863 6.3992 11.3810
angles (deg): 90.00 90.00 90.00
Space group Amm2 (No. 38)
Symmetry-distinct sites (fractional):
Ce: 0.0000 0.0000 0.0000 (multiplicity 2)
Mg: 0.0000 0.2439 0.2517 (multiplicity 4)
Mg: 0.2494 0.0000 0.6715 (multiplicity 4)
Mg: 0.2562 0.0000 0.1691 (multiplicity 4)
Mg: 0.2615 0.2488 0.9153 (multiplicity 8)
Mg: 0.5000 0.0000 0.0025 (multiplicity 2)
Mg: 0.5000 0.0000 0.5031 (multiplicity 2)
Mg: 0.5000 0.2489 0.7508 (multiplicity 4)
Bi: 0.0000 0.0000 0.4990 (multiplicity 2)



## LiBiP2O7 (PBE)

Data for an optimized crystal structure of LiBiP2O7.

Calculated values
* energy of formation: -2.50 eV/atom
* E: -591.5 eV for the cell shown

a b c (Å): 10.1645 8.9872 13.9476
angles (deg): 90.00 109.57 90.00
Space group C2/c (No. 15)
Symmetry-distinct sites (fractional):
Li: 0.1170 0.1123 0.1246 (multiplicity 8)
Bi: 0.1281 0.2669 0.6407 (multiplicity 8)
P: 0.1317 0.4531 0.4280 (multiplicity 8)
P: 0.1815 0.0708 0.8711 (multiplicity 8)
O: 0.0024 0.4734 0.8562 (multiplicity 8)
O: 0.0498 0.0734 0.9027 (multiplicity 8)
O: 0.0990 0.3015 0.4670 (multiplicity 8)
O: 0.1825 0.0686 0.3064 (multiplicity 8)
O: 0.1837 0.4355 0.0262 (multiplicity 8)
O: 0.2067 0.2168 0.8222 (multiplicity 8)
O: 0.2469 0.0522 0.6144 (multiplicity 8)



## MgBiAsO5 (PBE)

Data for an optimized crystal structure of MgBiAsO5.

Calculated values
* energy of formation: -2.02 eV/atom
* E: -190.5 eV for the cell shown

a b c (Å): 7.0942 7.4963 8.9706
angles (deg): 90.00 90.00 90.00
Space group P2_12_12_1 (No. 19)
Symmetry-distinct sites (fractional):
Mg: 0.0856 0.1960 0.0626 (multiplicity 4)
Bi: 0.0316 0.9624 0.7265 (multiplicity 4)
As: 0.1053 0.7222 0.0990 (multiplicity 4)
O: 0.0739 0.1713 0.2821 (multiplicity 4)
O: 0.0930 0.9245 0.0099 (multiplicity 4)
O: 0.1273 0.7664 0.5717 (multiplicity 4)
O: 0.1440 0.5507 0.9744 (multiplicity 4)
O: 0.1947 0.2573 0.7128 (multiplicity 4)



## MnFeTe (PBE)

Data for an optimized crystal structure of MnFeTe.

Calculated values
* energy of formation: -0.11 eV/atom
* E: -82.7 eV for the cell shown

a b c (Å): 5.8464 5.8464 5.8464
angles (deg): 90.00 90.00 90.00
Space group F-43m (No. 216)
Symmetry-distinct sites (fractional):
Mn: 0.0000 0.0000 0.0000 (multiplicity 4)
Fe: 0.2500 0.2500 0.2500 (multiplicity 4)
Te: 0.0000 0.0000 0.5000 (multiplicity 4)



## SrLaI4 (PBE)

Data for an optimized crystal structure of SrLaI4.

Calculated values
* energy of formation: -1.80 eV/atom
* E: -88.1 eV for the cell shown

a b c (Å): 10.3621 15.0614 7.5685
angles (deg): 90.00 124.93 90.00
Space group C2/c (No. 15)
Symmetry-distinct sites (fractional):
Sr: 0.0000 0.1348 0.2500 (multiplicity 4)
La: 0.0000 0.5004 0.2500 (multiplicity 4)
I: 0.1230 0.3233 0.5877 (multiplicity 8)
I: 0.1958 0.0615 0.7626 (multiplicity 8)



## BiW6Cl15 (PBE)

Data for an optimized crystal structure of BiW6Cl15.

Calculated values
* energy of formation: -1.19 eV/atom
* E: -1010.7 eV for the cell shown

a b c (Å): 13.0907 13.4166 26.7412
angles (deg): 90.00 91.87 90.00
Space group C2/c (No. 15)
Symmetry-distinct sites (fractional):
Bi: 0.2142 0.0448 0.1086 (multiplicity 8)
W: 0.0995 0.4847 0.6130 (multiplicity 8)
W: 0.1285 0.0686 0.3517 (multiplicity 8)
W: 0.2036 0.3229 0.6361 (multiplicity 8)
W: 0.2074 0.4754 0.6982 (multiplicity 8)
W: 0.2336 0.0932 0.8741 (multiplicity 8)
W: 0.2361 0.0599 0.4363 (multiplicity 8)
Cl: 0.0495 0.3734 0.6831 (multiplicity 8)
Cl: 0.0563 0.0999 0.1729 (multiplicity 8)
Cl: 0.0792 0.4809 0.4161 (multiplicity 8)
Cl: 0.0796 0.0445 0.9214 (multiplicity 8)
Cl: 0.1033 0.3385 0.5549 (multiplicity 8)
Cl: 0.1074 0.3713 0.1728 (multiplicity 8)
Cl: 0.1132 0.1462 0.0447 (multiplicity 8)
Cl: 0.1320 0.0773 0.7931 (multiplicity 8)
Cl: 0.1383 0.2139 0.4103 (multiplicity 8)
Cl: 0.1449 0.1483 0.6471 (multiplicity 8)
Cl: 0.1645 0.4046 0.0451 (multiplicity 8)
Cl: 0.1705 0.4987 0.7865 (multiplicity 8)
Cl: 0.1812 0.2739 0.8752 (multiplicity 8)
Cl: 0.1913 0.1808 0.2840 (multiplicity 8)
Cl: 0.1964 0.0936 0.5248 (multiplicity 8)



## Rb3U3Ge2O13 (PBE)

Data for an optimized crystal structure of Rb3U3Ge2O13.

Calculated values
* energy of formation: -3.00 eV/atom
* E: -328.9 eV for the cell shown

a b c (Å): 9.9237 9.9237 8.5255
angles (deg): 90.00 90.00 120.00
Space group P-62c (No. 190)
Symmetry-distinct sites (fractional):
Rb: 0.0286 0.6126 0.2500 (multiplicity 6)
U: 0.0000 0.2379 0.0000 (multiplicity 6)
Ge: 0.3333 0.6667 0.5429 (multiplicity 4)
O: 0.0000 0.8163 0.0000 (multiplicity 6)
O: 0.0099 0.2505 0.7500 (multiplicity 6)
O: 0.1768 0.4888 0.0208 (multiplicity 12)
O: 0.3333 0.6667 0.7500 (multiplicity 2)



## MgTe2MoW2Se2S2 (PBE)

Data for an optimized crystal structure of MgTe2MoW2Se2S2.

Calculated values
* energy of formation: -0.45 eV/atom
* E: -63.4 eV for the cell shown

a b c (Å): 3.3396 3.3398 31.1046
angles (deg): 90.00 90.00 60.00
Space group P1 (No. 1)
Symmetry-distinct sites (fractional):
Mg: 0.0000 0.0000 0.0000 (multiplicity 1)
Te: 0.9623 0.9318 0.2256 (multiplicity 1)
Te: 0.9623 0.9318 0.3484 (multiplicity 1)
Mo: 0.9622 0.9317 0.5185 (multiplicity 1)
W: 0.2956 0.2651 0.2869 (multiplicity 1)
W: 0.2956 0.2651 0.7497 (multiplicity 1)
Se: 0.2956 0.2651 0.4647 (multiplicity 1)
Se: 0.2956 0.2651 0.5721 (multiplicity 1)
S: 0.9623 0.9318 0.7007 (multiplicity 1)
S: 0.9623 0.9318 0.7987 (multiplicity 1)



## Mg2RuN3 (PBE)

Data for an optimized crystal structure of Mg2RuN3.

Calculated values
* energy of formation: -0.43 eV/atom
* E: -155.8 eV for the cell shown

a b c (Å): 10.1829 5.8610 5.2103
angles (deg): 90.00 90.00 90.00
Space group Cmc2_1 (No. 36)
Symmetry-distinct sites (fractional):
Mg: 0.1641 0.1716 0.0000 (multiplicity 8)
Ru: 0.0000 0.3198 0.5050 (multiplicity 4)
N: 0.0000 0.3694 0.8738 (multiplicity 4)
N: 0.1565 0.1760 0.4068 (multiplicity 8)



## SrMnBi2 (PBE)

Data for an optimized crystal structure of SrMnBi2.

Calculated values
* energy of formation: -0.34 eV/atom
* E: -79.9 eV for the cell shown

a b c (Å): 4.6072 4.6072 22.8821
angles (deg): 90.00 90.00 90.00
Space group I4/mmm (No. 139)
Symmetry-distinct sites (fractional):
Sr: 0.0000 0.0000 0.1176 (multiplicity 4)
Mn: 0.0000 0.5000 0.2500 (multiplicity 4)
Bi: 0.0000 0.0000 0.3225 (multiplicity 4)
Bi: 0.0000 0.5000 0.0000 (multiplicity 4)